{
  "formula": "Na2Sc3Nb5P12O48",
  "functional": "PBE",
  "state": "optimized geometry",
  "magnetic_moment_mub_per_atom": 0.000,
  "sg": "P1 (1)",
  "formation_enthalpy_0k_ev_per_atom": -2.99,
  "lattice": [[8.8044, 0.0000, 0.0000], [0.0059, 15.2455, 0.0000], [0.0118, 0.0047, 22.8959]],
  "species": ["Na", "Na", "Na", "Na", "Na", "Na", "Sc", "Sc", "Sc", "Sc", "Sc", "Sc", "Sc", "Sc", "Sc", "Nb", "Nb", "Nb", "Nb", "Nb", "Nb", "Nb", "Nb", "Nb", "Nb", "Nb", "Nb", "Nb", "Nb", "Nb", "P", "P", "P", "P", "P", "P", "P", "P", "P", "P", "P", "P", "P", "P", "P", "P", "P", "P", "P", "P", "P", "P", "P", "P", "P", "P", "P", "P", "P", "P", "P", "P", "P", "P", "P", "P", "O", "O", "O", "O", "O", "O", "O", "O", "O", "O", "O", "O", "O", "O", "O", "O", "O", "O", "O", "O", "O", "O", "O", "O", "O", "O", "O", "O", "O", "O", "O", "O", "O", "O", "O", "O", "O", "O", "O", "O", "O", "O", "O", "O", "O", "O", "O", "O", "O", "O", "O", "O", "O", "O", "O", "O", "O", "O", "O", "O", "O", "O", "O", "O", "O", "O", "O", "O", "O", "O", "O", "O", "O", "O", "O", "O", "O", "O", "O", "O", "O", "O", "O", "O", "O", "O", "O", "O", "O", "O", "O", "O", "O", "O", "O", "O", "O", "O", "O", "O", "O", "O", "O", "O", "O", "O", "O", "O", "O", "O", "O", "O", "O", "O", "O", "O", "O", "O", "O", "O", "O", "O", "O", "O", "O", "O", "O", "O", "O", "O", "O", "O", "O", "O", "O", "O", "O", "O", "O", "O", "O", "O", "O", "O"],
  "fractional_positions": [[0.0000, 0.0000, 0.0000], [0.9995, 0.9998, 0.5003], [0.9996, 0.6641, 0.1612], [0.4972, 0.4974, 0.0009], [0.4978, 0.4973, 0.4995], [0.4988, 0.1655, 0.6634], [0.9996, 0.9984, 0.6413], [0.4984, 0.1657, 0.5183], [0.4981, 0.4984, 0.1410], [0.4979, 0.4987, 0.6415], [0.4999, 0.1649, 0.8104], [0.9981, 0.6648, 0.3093], [0.9993, 0.3333, 0.9727], [0.9986, 0.6632, 0.0180], [0.9992, 0.9989, 0.1407], [0.0002, 0.3301, 0.4728], [0.4977, 0.8307, 0.9724], [0.4984, 0.8330, 0.6875], [0.4976, 0.8336, 0.4725], [0.4994, 0.1658, 0.3064], [0.4993, 0.1676, 0.0203], [0.4993, 0.8309, 0.1853], [0.5009, 0.4951, 0.8505], [0.5011, 0.5002, 0.3478], [0.9958, 0.0018, 0.8504], [0.9970, 0.6646, 0.8075], [0.9969, 0.9970, 0.3480], [0.9988, 0.3308, 0.6873], [0.9986, 0.3331, 0.1828], [0.9992, 0.6646, 0.5206], [0.1398, 0.1883, 0.0777], [0.1400, 0.8088, 0.4131], [0.1401, 0.8556, 0.7461], [0.1436, 0.4768, 0.0781], [0.1441, 0.5221, 0.4130], [0.1458, 0.1416, 0.7444], [0.2122, 0.1636, 0.4126], [0.2122, 0.8317, 0.0792], [0.2129, 0.4988, 0.7455], [0.2849, 0.3320, 0.5797], [0.2854, 0.6639, 0.9126], [0.2863, 0.9983, 0.2452], [0.3520, 0.6427, 0.2442], [0.3531, 0.3554, 0.2454], [0.3541, 0.0226, 0.9133], [0.3544, 0.3080, 0.9124], [0.3560, 0.9753, 0.5796], [0.3587, 0.6897, 0.5787], [0.6403, 0.3536, 0.7438], [0.6411, 0.3093, 0.4130], [0.6415, 0.6409, 0.7453], [0.6418, 0.9740, 0.0780], [0.6431, 0.0228, 0.4129], [0.6426, 0.6885, 0.0788], [0.7117, 0.0006, 0.7442], [0.7121, 0.6648, 0.4133], [0.7129, 0.3336, 0.0776], [0.7825, 0.8328, 0.5786], [0.7846, 0.1664, 0.9128], [0.7886, 0.4994, 0.2436], [0.8552, 0.1886, 0.5795], [0.8545, 0.4729, 0.5785], [0.8555, 0.5217, 0.9127], [0.8564, 0.1428, 0.2448], [0.8562, 0.8533, 0.2435], [0.8569, 0.8089, 0.9131], [0.0647, 0.5668, 0.0778], [0.0665, 0.2336, 0.7367], [0.0677, 0.7657, 0.4679], [0.0690, 0.8923, 0.6914], [0.0703, 0.0981, 0.8001], [0.0705, 0.9028, 0.4061], [0.0722, 0.2298, 0.0241], [0.0724, 0.5594, 0.3587], [0.0731, 0.4274, 0.1346], [0.0764, 0.4298, 0.4258], [0.0757, 0.7629, 0.7591], [0.0766, 0.0961, 0.0864], [0.1042, 0.0839, 0.4011], [0.1070, 0.5782, 0.7590], [0.1086, 0.2456, 0.4208], [0.1090, 0.4175, 0.7369], [0.1123, 0.2457, 0.1341], [0.1136, 0.4213, 0.0249], [0.1142, 0.5807, 0.4679], [0.1140, 0.9138, 0.8008], [0.1150, 0.0862, 0.6908], [0.1173, 0.7485, 0.0752], [0.1172, 0.9150, 0.0831], [0.1207, 0.7551, 0.3584], [0.1777, 0.0099, 0.9056], [0.1791, 0.3417, 0.5245], [0.1797, 0.3220, 0.6343], [0.1808, 0.3433, 0.2382], [0.1833, 0.6559, 0.2533], [0.1825, 0.6825, 0.5681], [0.1836, 0.9802, 0.5828], [0.1835, 0.9841, 0.3007], [0.1854, 0.6787, 0.8577], [0.1884, 0.3230, 0.9215], [0.1918, 0.0175, 0.1922], [0.1929, 0.6465, 0.9670], [0.3048, 0.1460, 0.4669], [0.3055, 0.5173, 0.6915], [0.3123, 0.1782, 0.3579], [0.3125, 0.8220, 0.4253], [0.3139, 0.4836, 0.8004], [0.3147, 0.1556, 0.7525], [0.3152, 0.4853, 0.0865], [0.3157, 0.8437, 0.7370], [0.3176, 0.1809, 0.0697], [0.3180, 0.8220, 0.1343], [0.3182, 0.8417, 0.0245], [0.3196, 0.5105, 0.4062], [0.3801, 0.0801, 0.9679], [0.3801, 0.2487, 0.5751], [0.3804, 0.4153, 0.5828], [0.3825, 0.5863, 0.1914], [0.3842, 0.4138, 0.3011], [0.3845, 0.7462, 0.6336], [0.3860, 0.2552, 0.8577], [0.3890, 0.7458, 0.9208], [0.3892, 0.9174, 0.2378], [0.3905, 0.0782, 0.2595], [0.3922, 0.5841, 0.9012], [0.3947, 0.9175, 0.5247], [0.4208, 0.9295, 0.9257], [0.4221, 0.2629, 0.2597], [0.4238, 0.0580, 0.8581], [0.4247, 0.7362, 0.5240], [0.4247, 0.9270, 0.6342], [0.4259, 0.5984, 0.5826], [0.4270, 0.5978, 0.3002], [0.4294, 0.3920, 0.1923], [0.4313, 0.7340, 0.2371], [0.4332, 0.0642, 0.5753], [0.4329, 0.2652, 0.9674], [0.4337, 0.4020, 0.9049], [0.5649, 0.0646, 0.0684], [0.5658, 0.5995, 0.0825], [0.5671, 0.2715, 0.4669], [0.5689, 0.5989, 0.8001], [0.5712, 0.7342, 0.7362], [0.5706, 0.9315, 0.1332], [0.5725, 0.0650, 0.3579], [0.5719, 0.3971, 0.6904], [0.5732, 0.9297, 0.4209], [0.5741, 0.4028, 0.4013], [0.5739, 0.7364, 0.0243], [0.5772, 0.2618, 0.7518], [0.6042, 0.0773, 0.7518], [0.6046, 0.7470, 0.1339], [0.6058, 0.4109, 0.0858], [0.6061, 0.7442, 0.4258], [0.6064, 0.9163, 0.0237], [0.6068, 0.5827, 0.4063], [0.6119, 0.2520, 0.3580], [0.6121, 0.4125, 0.7993], [0.6123, 0.9147, 0.7359], [0.6133, 0.2480, 0.0702], [0.6229, 0.5866, 0.6908], [0.6242, 0.0778, 0.4672], [0.6790, 0.5129, 0.9002], [0.6795, 0.8430, 0.5239], [0.6803, 0.8480, 0.2365], [0.6818, 0.1478, 0.9674], [0.6830, 0.1830, 0.5750], [0.6826, 0.4856, 0.3000], [0.6826, 0.8202, 0.9212], [0.6836, 0.1544, 0.2595], [0.6840, 0.4859, 0.5822], [0.6835, 0.8169, 0.6332], [0.6888, 0.5128, 0.1909], [0.6912, 0.1759, 0.8577], [0.8024, 0.6817, 0.3586], [0.8082, 0.3463, 0.0239], [0.8086, 0.0119, 0.6902], [0.8134, 0.3176, 0.1337], [0.8132, 0.9848, 0.0825], [0.8133, 0.9848, 0.7996], [0.8141, 0.6498, 0.4680], [0.8136, 0.6555, 0.7581], [0.8155, 0.3202, 0.4211], [0.8150, 0.6839, 0.0754], [0.8171, 0.0087, 0.4016], [0.8174, 0.3478, 0.7358], [0.8705, 0.5801, 0.9661], [0.8730, 0.0858, 0.1917], [0.8812, 0.7484, 0.5680], [0.8850, 0.4144, 0.2366], [0.8855, 0.7526, 0.8578], [0.8855, 0.9121, 0.5823], [0.8869, 0.0797, 0.9047], [0.8872, 0.9129, 0.2996], [0.8907, 0.2416, 0.9221], [0.8907, 0.4166, 0.5235], [0.8923, 0.2470, 0.6339], [0.8921, 0.5775, 0.2531], [0.9209, 0.7624, 0.2530], [0.9225, 0.4318, 0.9158], [0.9221, 0.5706, 0.8576], [0.9236, 0.2365, 0.5243], [0.9237, 0.9023, 0.9012], [0.9258, 0.2342, 0.2377], [0.9265, 0.8970, 0.1908], [0.9272, 0.4325, 0.6331], [0.9275, 0.0975, 0.3005], [0.9310, 0.7716, 0.9672], [0.9323, 0.5648, 0.5679], [0.9325, 0.0992, 0.5825]]
}